[1]
The following is a DFT calculation (PBE) of an optimized crystal structure of Na2GeO9.

## Properties
energy above the most stable polymorph in this dataset = 108 meV per atom
crystal system = monoclinic

Cell lengths 6.9571, 4.7873, 11.3777 Å; angles 90.00, 90.81, 90.00 degrees
Space group P2_1 (No. 4)
Unique sites:
Na (0.1665, 0.0000, 0.0463)
Na (0.3142, 0.7342, 0.5733)
Ge (0.2624, 0.4415, 0.8237)
O (0.1275, 0.1439, 0.4824)
O (0.1428, 0.4539, 0.6917)
O (0.1746, 0.4953, 0.9616)
O (0.1995, 0.3111, 0.4129)
O (0.2993, 0.0361, 0.8589)
O (0.3597, 0.8538, 0.7769)
O (0.3840, 0.7181, 0.2812)
O (0.4433, 0.8728, 0.1838)
O (0.4636, 0.8017, 0.3830)

***

[2]
The following is a DFT calculation (PBE) of an optimized crystal structure of K4GaAu8.

## Properties
crystal system = monoclinic

Cell lengths 21.2324, 5.9175, 11.0796 Å; angles 90.00, 97.73, 90.00 degrees
Space group C2/m (No. 12)
Unique sites:
K (0.0156, 0.0000, 0.3369)
K (0.0460, 0.5000, 0.8439)
K (0.2150, 0.0000, 0.3986)
K (0.2235, 0.5000, 0.9052)
Ga (0.1730, 0.0000, 0.7344)
Au (0.0000, 0.0000, 0.0000)
Au (0.0000, 0.5000, 0.5000)
Au (0.0991, 0.5000, 0.3512)
Au (0.1028, 0.2497, 0.1319)
Au (0.1180, 0.2672, 0.5802)
Au (0.1240, 0.0000, 0.9256)
Au (0.2096, 0.5000, 0.2327)

***

[3]
The following is a DFT calculation (PBE) of an optimized crystal structure of Rb2Te2Pt.

## Properties
crystal system = orthorhombic

Cell lengths 4.0704, 8.2221, 10.8443 Å; angles 90.00, 90.00, 90.00 degrees
Space group Immm (No. 71)
Unique sites:
Rb (0.0000, 0.0000, 0.1989)
Te (0.0000, 0.2110, 0.5000)
Pt (0.0000, 0.5000, 0.0000)

***

[4]
The following is a DFT calculation (PBE) of an optimized crystal structure of DyTmMg2.

## Properties
crystal system = cubic

Cell lengths 7.5369, 7.5369, 7.5369 Å; angles 90.00, 90.00, 90.00 degrees
Space group Fm-3m (No. 225)
Unique sites:
Dy (0.0000, 0.0000, 0.0000)
Tm (0.0000, 0.0000, 0.5000)
Mg (0.2500, 0.2500, 0.2500)

***

[5]
The following is a DFT calculation (PBE) of an optimized crystal structure of Ti4O7.

## Properties
crystal system = triclinic

Cell lengths 5.6378, 6.9571, 7.1836 Å; angles 64.18, 71.10, 75.11 degrees
Space group P-1 (No. 2)
Unique sites:
Ti (0.1826, 0.0975, 0.2633)
Ti (0.1876, 0.0973, 0.7611)
Ti (0.2834, 0.6247, 0.5908)
Ti (0.2838, 0.6318, 0.0849)
O (0.0260, 0.1724, 0.5193)
O (0.0860, 0.3849, 0.7631)
O (0.1720, 0.7773, 0.7989)
O (0.2047, 0.9467, 0.0670)
O (0.3550, 0.3362, 0.0869)
O (0.3925, 0.5334, 0.3461)
O (0.4649, 0.8968, 0.3698)

***

[6]
The following is a DFT calculation (PBE) of an optimized crystal structure of LaMgI5.

## Properties
energy above the most stable polymorph in this dataset = 76 meV per atom
crystal system = monoclinic

Cell lengths 8.8120, 15.4037, 11.9424 Å; angles 90.00, 92.10, 90.00 degrees
Space group P2_1 (No. 4)
Unique sites:
La (0.0051, 0.0000, 0.1098)
La (0.4871, 0.6056, 0.5896)
Mg (0.0221, 0.6653, 0.5978)
Mg (0.4691, 0.0526, 0.0551)
I (0.0219, 0.2040, 0.1829)
I (0.0381, 0.3098, 0.8650)
I (0.1533, 0.5003, 0.6402)
I (0.2296, 0.0187, 0.9074)
I (0.2404, 0.2046, 0.5225)
I (0.2511, 0.7406, 0.4827)
I (0.2762, 0.5155, 0.0627)
I (0.3526, 0.9584, 0.2391)
I (0.4812, 0.7051, 0.8322)
I (0.4933, 0.4730, 0.4096)

***

[7]
The following is a DFT calculation (PBE) of an optimized crystal structure of LiTe4H4O6F8.

## Properties
energy above the most stable polymorph in this dataset = 17 meV per atom
crystal system = triclinic

Cell lengths 5.0378, 6.2642, 11.7605 Å; angles 85.70, 80.12, 66.34 degrees
Space group P1 (No. 1)
Unique sites:
Li (0.0000, 0.0000, 0.0000)
Te (0.0802, 0.1112, 0.2376)
Te (0.1099, 0.1774, 0.7088)
Te (0.2142, 0.6498, 0.4427)
Te (0.7393, 0.6013, 0.9209)
H (0.4678, 0.0509, 0.9816)
H (0.4846, 0.6542, 0.5972)
H (0.5232, 0.1364, 0.5490)
H (0.8813, 0.6577, 0.1025)
O (0.1256, 0.3633, 0.8276)
O (0.3055, 0.7725, 0.5696)
O (0.3225, 0.8320, 0.3114)
O (0.3394, 0.2694, 0.5807)
O (0.4160, 0.9198, 0.0121)
O (0.9069, 0.5151, 0.0621)
F (0.2880, 0.2836, 0.2976)
F (0.4983, 0.9534, 0.7455)
F (0.6429, 0.4680, 0.4088)
F (0.6809, 0.2836, 0.9679)
F (0.7857, 0.4752, 0.6589)
F (0.8402, 0.9464, 0.4735)
F (0.9104, 0.9056, 0.1568)
F (0.9773, 0.8014, 0.8894)

***

[8]
The following is a DFT calculation (PBE) of an optimized crystal structure of MnNbRu2.

## Properties
crystal system = cubic

Cell lengths 6.2197, 6.2197, 6.2197 Å; angles 90.00, 90.00, 90.00 degrees
Space group Fm-3m (No. 225)
Unique sites:
Mn (0.0000, 0.0000, 0.0000)
Nb (0.0000, 0.0000, 0.5000)
Ru (0.2500, 0.2500, 0.2500)

***

Results for E: -4.942; -2.929; -3.665; -3.137; -8.991; -3.269; -4.703; -9.617 (in eV per atom, following the order of the records).